ZrI4 | r2SCAN | optimized geometry

Output
VASP energy in eV per cell: -758.634
Volume in Å³/cell: 1325
Theoretical density in g cm⁻³: 4.5
Formation energy from the elements in meV/atom: -1091

Unit cell a=8.6338 b=8.6585 c=18.2119 alpha=90.00 beta=103.27 gamma=90.00
Space group P2/c (No. 13)
One atom of each set of equivalent atoms:
Zr 0.0000 0.1078 0.2500
Zr 0.1953 0.3793 0.0832
I 0.0693 0.3820 0.9218
I 0.0740 0.1529 0.4115
I 0.2300 0.3750 0.2448
I 0.2431 0.0955 0.7582
I 0.3927 0.1394 0.0741
I 0.4062 0.3844 0.5922



HfGa2Co | r2SCAN | optimized geometry

Output
VASP energy in eV per cell: -1665.074
Volume in Å³/cell: 1183
Theoretical density in g cm⁻³: 10.6
Formation energy from the elements in meV/atom: -496

Unit cell a=12.1245 b=12.1245 c=8.0492 alpha=90.00 beta=90.00 gamma=90.00
Space group I4mm (No. 107)
One atom of each set of equivalent atoms:
Hf 0.0000 0.0000 0.0000
Hf 0.0000 0.0000 0.4656
Hf 0.0000 0.2808 0.3954
Hf 0.2007 0.2007 0.8838
Ga 0.0000 0.1620 0.7204
Ga 0.0000 0.3837 0.8707
Ga 0.1313 0.1313 0.2273
Ga 0.1402 0.3516 0.1323
Co 0.0000 0.2161 0.0320
Co 0.0000 0.5000 0.1212
Co 0.1626 0.1626 0.5378



Ho5Re2O12 | r2SCAN | optimized geometry

Output
VASP energy in eV per cell: -803.723
Volume in Å³/cell: 491
Theoretical density in g cm⁻³: 9.4
Formation energy from the elements in meV/atom: -3209

Unit cell a=12.3160 b=5.6191 c=7.4640 alpha=90.00 beta=107.94 gamma=90.00
Space group C2 (No. 5)
One atom of each set of equivalent atoms:
Ho 0.0000 0.0000 0.0000
Ho 0.1859 0.5021 0.3237
Ho 0.1971 0.4989 0.8593
Re 0.0000 0.2195 0.5000
Re 0.0000 0.7893 0.5000
O 0.0008 0.5047 0.6788
O 0.0020 0.9998 0.2929
O 0.1533 0.7486 0.0718
O 0.1546 0.2529 0.0746
O 0.1641 0.7513 0.5859
O 0.1678 0.2582 0.5852



Tc | r2SCAN | optimized geometry

Output
VASP energy in eV per cell: -103.842
Volume in Å³/cell: 57
Theoretical density in g cm⁻³: 11.4
Energy above the most stable polymorph in this dataset in meV per atom: 4
Formation energy from the elements in meV/atom: 4

Unit cell a=2.7394 b=2.7394 c=8.7697 alpha=90.00 beta=90.00 gamma=120.00
Space group P6_3/mmc (No. 194)
One atom of each set of equivalent atoms:
Tc 0.0000 0.0000 0.0000
Tc 0.3333 0.6667 0.2500



TiIr3 | r2SCAN | optimized geometry

Output
VASP energy in eV per cell: -173.182
Volume in Å³/cell: 57
Theoretical density in g cm⁻³: 18.1
Formation energy from the elements in meV/atom: -791

Unit cell a=3.8577 b=3.8577 c=3.8577 alpha=90.00 beta=90.00 gamma=90.00
Space group Pm-3m (No. 221)
One atom of each set of equivalent atoms:
Ti 0.0000 0.0000 0.0000
Ir 0.0000 0.5000 0.5000



Cs2SeO4 | r2SCAN | optimized geometry

Output
VASP energy in eV per cell: -397.275
Volume in Å³/cell: 611
Theoretical density in g cm⁻³: 4.4
Formation energy from the elements in meV/atom: -1557

Unit cell a=8.3903 b=6.4485 c=11.2844 alpha=90.00 beta=90.00 gamma=90.00
Space group Pnma (No. 62)
One atom of each set of equivalent atoms:
Cs 0.0100 0.2500 0.2038
Cs 0.1737 0.7500 0.4103
Se 0.2342 0.7500 0.0806
O 0.0371 0.7500 0.0833
O 0.1972 0.0400 0.6486
O 0.1986 0.2500 0.4420